## a
A relaxed structure of Li3NbO4. Source: the Materials Project, functional PBE.

* mass density: 3.8 Mg/m³
* largest piezoelectric modulus: 0.041 C/m²

Unit cell a=7.3864 b=7.3864 c=7.3864 alpha=109.47 beta=109.47 gamma=109.47
Element x y z (fractional)
1 Li 0.0000 0.2705 0.5137
2 Li 0.0000 0.5137 0.2705
3 Li 0.2431 0.7295 0.7295
4 Li 0.2705 0.0000 0.5137
5 Li 0.2705 0.5137 0.0000
6 Li 0.4863 0.4863 0.7569
7 Li 0.4863 0.7569 0.4863
8 Li 0.5137 0.0000 0.2705
9 Li 0.5137 0.2705 0.0000
10 Li 0.7295 0.2431 0.7295
11 Li 0.7295 0.7295 0.2431
12 Li 0.7569 0.4863 0.4863
13 Nb 0.0000 0.0000 0.7192
14 Nb 0.0000 0.7192 0.0000
15 Nb 0.2808 0.2808 0.2808
16 Nb 0.7192 0.0000 0.0000
17 O 0.0000 0.0000 0.2273
18 O 0.0000 0.2273 0.0000
19 O 0.0000 0.5142 0.7603
20 O 0.0000 0.7603 0.5142
21 O 0.2273 0.0000 0.0000
22 O 0.2397 0.2397 0.7539
23 O 0.2397 0.7539 0.2397
24 O 0.2461 0.4858 0.4858
25 O 0.4858 0.2461 0.4858
26 O 0.4858 0.4858 0.2461
27 O 0.5142 0.0000 0.7603
28 O 0.5142 0.7603 0.0000
29 O 0.7539 0.2397 0.2397
30 O 0.7603 0.0000 0.5142
31 O 0.7603 0.5142 0.0000
32 O 0.7727 0.7727 0.7727


## b
A relaxed structure of Li3NbO4. Source: the Materials Project, functional PBE.

* M_tot: 0.0 Bohr magnetons per cell
* mass density: 4.0 Mg/m³

Unit cell a=4.1666 b=4.1666 c=8.6035 alpha=90.00 beta=90.00 gamma=90.00
Element x y z (fractional)
1 Li 0.0000 0.0000 0.0000
2 Li 0.0000 0.5000 0.2500
3 Li 0.0000 0.5000 0.7500
4 Li 0.5000 0.0000 0.2500
5 Li 0.5000 0.0000 0.7500
6 Li 0.5000 0.5000 0.5000
7 Nb 0.0000 0.0000 0.5000
8 Nb 0.5000 0.5000 0.0000
9 O 0.0000 0.0000 0.2745
10 O 0.0000 0.0000 0.7255
11 O 0.0000 0.5000 0.0000
12 O 0.0000 0.5000 0.5000
13 O 0.5000 0.0000 0.0000
14 O 0.5000 0.0000 0.5000
15 O 0.5000 0.5000 0.2255
16 O 0.5000 0.5000 0.7745


Most stable: a


## a
A relaxed structure of Li2NbP2O8. Source: the Materials Project, functional PBE.

* M_tot: 2.0 Bohr magnetons per cell
* mass density: 3.2 Mg/m³

Unit cell a=6.0411 b=4.8482 c=10.3960 alpha=90.00 beta=90.13 gamma=90.00
Element x y z (fractional)
1 Li 0.0000 0.2201 0.0000
2 Li 0.0000 0.7799 0.5000
3 Li 0.7882 0.2433 0.7135
4 Li 0.7882 0.7567 0.2135
5 Nb 0.4828 0.2751 0.4359
6 Nb 0.4828 0.7249 0.9359
7 P 0.4973 0.1641 0.1158
8 P 0.4973 0.8359 0.6158
9 P 0.9810 0.3067 0.3101
10 P 0.9810 0.6933 0.8101
11 O 0.1838 0.4256 0.3928
12 O 0.1838 0.5744 0.8928
13 O 0.3016 0.0410 0.0358
14 O 0.3016 0.9590 0.5358
15 O 0.4881 0.0711 0.2584
16 O 0.4881 0.9289 0.7584
17 O 0.5113 0.4817 0.1063
18 O 0.5113 0.5183 0.6063
19 O 0.6965 0.0079 0.0520
20 O 0.6965 0.9921 0.5520
21 O 0.7707 0.4512 0.3810
22 O 0.7707 0.5488 0.8810
23 O 0.9674 0.0033 0.8233
24 O 0.9674 0.9967 0.3233
25 O 0.9846 0.4264 0.1759
26 O 0.9846 0.5736 0.6759


## b
A relaxed structure of Li2NbP2O8. Source: the Materials Project, functional PBE.

* M_tot: 4.0 Bohr magnetons per cell
* mass density: 3.2 Mg/m³

Unit cell a=7.7788 b=12.6122 c=6.4415 alpha=90.00 beta=98.87 gamma=90.00
Element x y z (fractional)
1 Li 0.0530 0.1224 0.4397
2 Li 0.0530 0.3776 0.9397
3 Li 0.4288 0.2284 0.3532
4 Li 0.4288 0.2716 0.8532
5 Li 0.5712 0.7284 0.1468
6 Li 0.5712 0.7716 0.6468
7 Li 0.9470 0.6224 0.0603
8 Li 0.9470 0.8776 0.5603
9 Nb 0.2780 0.5835 0.7502
10 Nb 0.2780 0.9165 0.2502
11 Nb 0.7220 0.0835 0.7498
12 Nb 0.7220 0.4165 0.2498
13 P 0.1433 0.1458 0.9596
14 P 0.1433 0.3542 0.4596
15 P 0.3183 0.5256 0.2584
16 P 0.3183 0.9744 0.7584
17 P 0.6817 0.0256 0.2416
18 P 0.6817 0.4744 0.7416
19 P 0.8567 0.6458 0.5404
20 P 0.8567 0.8542 0.0404
21 O 0.0228 0.6462 0.7059
22 O 0.0228 0.8538 0.2059
23 O 0.1330 0.0783 0.1544
24 O 0.1330 0.4217 0.6544
25 O 0.1912 0.5376 0.0486
26 O 0.1912 0.9624 0.5486
27 O 0.2156 0.2429 0.5028
28 O 0.2156 0.2571 0.0028
29 O 0.2658 0.6014 0.4221
30 O 0.2658 0.8986 0.9221
31 O 0.2939 0.0932 0.8392
32 O 0.2939 0.4068 0.3392
33 O 0.4182 0.6928 0.8365
34 O 0.4182 0.8072 0.3365
35 O 0.4914 0.0349 0.2727
36 O 0.4914 0.4651 0.7727
37 O 0.5086 0.5349 0.2273
38 O 0.5086 0.9651 0.7273
39 O 0.5818 0.1928 0.6635
40 O 0.5818 0.3072 0.1635
41 O 0.7061 0.5932 0.6608
42 O 0.7061 0.9068 0.1608
43 O 0.7342 0.1014 0.0779
44 O 0.7342 0.3986 0.5779
45 O 0.7844 0.7429 0.9972
46 O 0.7844 0.7571 0.4972
47 O 0.8088 0.0376 0.4514
48 O 0.8088 0.4624 0.9514
49 O 0.8670 0.5783 0.3456
50 O 0.8670 0.9217 0.8456
51 O 0.9772 0.1462 0.7941
52 O 0.9772 0.3538 0.2941


Most stable: a


## a
A relaxed structure of LiNbPO5. Source: the Materials Project, functional PBE.

* M_tot: 4.0 Bohr magnetons per cell
* mass density: 3.6 Mg/m³

Unit cell a=7.6201 b=7.6201 c=10.8964 alpha=111.97 beta=111.97 gamma=41.80
Element x y z (fractional)
1 Li 0.0008 0.0008 0.2520
2 Li 0.0009 0.5056 0.7508
3 Li 0.4944 0.9991 0.2492
4 Li 0.9992 0.9992 0.7480
5 Nb 0.4972 0.0006 0.7483
6 Nb 0.9979 0.0021 0.5000
7 Nb 0.9986 0.0014 0.0000
8 Nb 0.9994 0.5028 0.2517
9 P 0.3727 0.3793 0.0634
10 P 0.3751 0.3759 0.5601
11 P 0.6207 0.6273 0.9366
12 P 0.6241 0.6249 0.4399
13 O 0.0860 0.1662 0.1682
14 O 0.1628 0.0865 0.6654
15 O 0.2016 0.6783 0.5946
16 O 0.2038 0.6811 0.0907
17 O 0.3002 0.3083 0.9081
18 O 0.3042 0.3222 0.1507
19 O 0.3074 0.3043 0.4101
20 O 0.3189 0.7962 0.9093
21 O 0.3201 0.3038 0.6465
22 O 0.3217 0.7984 0.4054
23 O 0.6743 0.2054 0.0954
24 O 0.6777 0.2102 0.5911
25 O 0.6778 0.6958 0.8493
26 O 0.6917 0.6998 0.0919
27 O 0.6962 0.6799 0.3535
28 O 0.6957 0.6926 0.5899
29 O 0.7898 0.3223 0.4089
30 O 0.7946 0.3257 0.9046
31 O 0.8338 0.9140 0.8318
32 O 0.9135 0.8372 0.3346


## b
A relaxed structure of LiNbPO5. Source: the Materials Project, functional PBE.

* M_tot: 4.0 Bohr magnetons per cell
* mass density: 3.7 Mg/m³

Unit cell a=7.6228 b=6.6881 c=7.4988 alpha=90.00 beta=90.00 gamma=90.00
Element x y z (fractional)
1 Li 0.0000 0.0000 0.0000
2 Li 0.0000 0.5000 0.0000
3 Li 0.5000 0.0000 0.5000
4 Li 0.5000 0.5000 0.5000
5 Nb 0.1615 0.2500 0.2786
6 Nb 0.3385 0.7500 0.7786
7 Nb 0.6615 0.2500 0.2214
8 Nb 0.8385 0.7500 0.7214
9 P 0.1278 0.7500 0.3670
10 P 0.3722 0.2500 0.8670
11 P 0.6278 0.7500 0.1330
12 P 0.8722 0.2500 0.6330
13 O 0.0415 0.2500 0.5198
14 O 0.0967 0.7500 0.8375
15 O 0.1296 0.5639 0.2442
16 O 0.1296 0.9361 0.2442
17 O 0.2091 0.2500 0.9910
18 O 0.2909 0.7500 0.4910
19 O 0.3704 0.0639 0.7442
20 O 0.3704 0.4361 0.7442
21 O 0.4033 0.2500 0.3375
22 O 0.4585 0.7500 0.0198
23 O 0.5415 0.2500 0.9802
24 O 0.5967 0.7500 0.6625
25 O 0.6296 0.5639 0.2558
26 O 0.6296 0.9361 0.2558
27 O 0.7091 0.2500 0.5090
28 O 0.7909 0.7500 0.0090
29 O 0.8704 0.0639 0.7558
30 O 0.8704 0.4361 0.7558
31 O 0.9033 0.2500 0.1625
32 O 0.9585 0.7500 0.4802


Most stable: b


## a
A relaxed structure of LiNbPO5. Source: the Materials Project, functional PBE.

* M_tot: 3.1 Bohr magnetons per cell
* mass density: 3.6 Mg/m³

Unit cell a=5.4370 b=7.6201 c=10.7080 alpha=70.68 beta=75.29 gamma=69.10
Element x y z (fractional)
1 Li 0.0000 0.0000 0.0000
2 Li 0.0016 0.4948 0.9972
3 Li 0.5004 0.5008 0.4984
4 Li 0.9940 0.0061 0.5012
5 Nb 0.9999 0.7504 0.7492
6 Nb 0.5036 0.9938 0.9976
7 Nb 0.9953 0.5071 0.5009
8 Nb 0.9992 0.2504 0.2492
9 P 0.3706 0.0657 0.6891
10 P 0.3802 0.5556 0.1858
11 P 0.6220 0.9452 0.3126
12 P 0.6257 0.4352 0.8094
13 O 0.0813 0.6726 0.5838
14 O 0.1670 0.1603 0.0810
15 O 0.2049 0.9598 0.6581
16 O 0.2092 0.4585 0.1521
17 O 0.2986 0.2792 0.6027
18 O 0.3052 0.0427 0.8391
19 O 0.3133 0.5434 0.3382
20 O 0.3232 0.5411 0.8403
21 O 0.3231 0.7686 0.0985
22 O 0.3266 0.0286 0.3446
23 O 0.6730 0.9713 0.6546
24 O 0.6808 0.2217 0.8957
25 O 0.6838 0.4513 0.1542
26 O 0.6873 0.4581 0.6593
27 O 0.6997 0.7201 0.3963
28 O 0.7006 0.9447 0.1573
29 O 0.7971 0.0384 0.3399
30 O 0.7993 0.5295 0.8439
31 O 0.8380 0.8282 0.9146
32 O 0.9206 0.3280 0.4153


## b
A relaxed structure of LiNbPO5. Source: the Materials Project, functional PBE.

* M_tot: 4.0 Bohr magnetons per cell
* mass density: 3.6 Mg/m³

Unit cell a=7.1131 b=7.4322 c=8.1830 alpha=89.43 beta=87.46 gamma=64.26
Element x y z (fractional)
1 Li 0.2030 0.3275 0.4253
2 Li 0.2819 0.8090 0.0761
3 Li 0.7181 0.1910 0.9239
4 Li 0.7970 0.6725 0.5747
5 Nb 0.2539 0.5137 0.7660
6 Nb 0.2560 0.0100 0.7373
7 Nb 0.7440 0.9900 0.2627
8 Nb 0.7461 0.4863 0.2340
9 P 0.2373 0.7386 0.4085
10 P 0.2689 0.2459 0.0933
11 P 0.7311 0.7541 0.9067
12 P 0.7627 0.2614 0.5915
13 O 0.0687 0.4057 0.1779
14 O 0.0753 0.8698 0.2842
15 O 0.1450 0.6218 0.5205
16 O 0.2260 0.0911 0.9951
17 O 0.2335 0.7624 0.8422
18 O 0.2595 0.2530 0.6666
19 O 0.3054 0.8688 0.5154
20 O 0.3759 0.3431 0.9755
21 O 0.4133 0.1436 0.2372
22 O 0.4246 0.5936 0.3030
23 O 0.5754 0.4064 0.6970
24 O 0.5867 0.8564 0.7628
25 O 0.6241 0.6569 0.0245
26 O 0.6946 0.1312 0.4846
27 O 0.7405 0.7470 0.3334
28 O 0.7665 0.2376 0.1578
29 O 0.7740 0.9089 0.0049
30 O 0.8550 0.3782 0.4795
31 O 0.9247 0.1302 0.7158
32 O 0.9313 0.5943 0.8221


## c
A relaxed structure of LiNbPO5. Source: the Materials Project, functional PBE.

* M_tot: 4.0 Bohr magnetons per cell
* mass density: 3.6 Mg/m³

Unit cell a=7.6358 b=7.6358 c=10.8596 alpha=112.08 beta=112.08 gamma=41.57
Element x y z (fractional)
1 Li 0.0000 0.0000 0.0000
2 Li 0.0000 0.0000 0.5000
3 Li 0.0000 0.5000 0.0000
4 Li 0.5000 0.0000 0.5000
5 Nb 0.0004 0.9996 0.2500
6 Nb 0.9996 0.0004 0.7500
7 Nb 0.0000 0.5000 0.5000
8 Nb 0.5000 0.0000 0.0000
9 P 0.3741 0.3767 0.3130
10 P 0.3767 0.3741 0.8130
11 P 0.6233 0.6259 0.1870
12 P 0.6259 0.6233 0.6870
13 O 0.0860 0.1646 0.4176
14 O 0.1646 0.0860 0.9176
15 O 0.2033 0.6768 0.8474
16 O 0.2045 0.6804 0.3441
17 O 0.3028 0.3090 0.1597
18 O 0.3062 0.3179 0.3995
19 O 0.3090 0.3028 0.6597
20 O 0.3179 0.3062 0.8995
21 O 0.3196 0.7955 0.1559
22 O 0.3232 0.7967 0.6526
23 O 0.6768 0.2033 0.3474
24 O 0.6804 0.2045 0.8441
25 O 0.6821 0.6938 0.1005
26 O 0.6910 0.6972 0.3403
27 O 0.6938 0.6821 0.6005
28 O 0.6972 0.6910 0.8403
29 O 0.7955 0.3196 0.6559
30 O 0.7967 0.3232 0.1526
31 O 0.8354 0.9140 0.0824
32 O 0.9140 0.8354 0.5824


Most stable: b